VASP calculation (PBE+U) on crystalline Fe2C4Cl2O9 at its relaxed geometry.

Calculated values
The formation energy comes out at -119.7 kJ/mol of atoms.

a = 14.627 Å, b = 22.735 Å, c = 9.235 Å
α = 90.00°, β = 90.00°, γ = 90.00°
Space group Fdd2 (No. 43)
Symmetry-distinct sites (fractional):
Fe 0.073 0.441 0.000 (multiplicity 16)
C 0.044 0.107 0.693 (multiplicity 16)
C 0.063 0.139 0.550 (multiplicity 16)
Cl 0.070 0.253 0.829 (multiplicity 16)
O 0.000 0.000 0.431 (multiplicity 8)
O 0.018 0.122 0.441 (multiplicity 16)
O 0.019 0.432 0.193 (multiplicity 16)
O 0.090 0.123 0.801 (multiplicity 16)
O 0.122 0.180 0.553 (multiplicity 16)

VASP calculation (PBE+U) on crystalline LiVBO4 at its relaxed geometry.

Calculated values
The formation energy comes out at -246.3 kJ/mol of atoms.

a = 13.2430 Å, b = 13.2430 Å, c = 8.9292 Å
α = 90.00°, β = 90.00°, γ = 120.00°
Space group R3 (No. 146, hexagonal axes)
Symmetry-distinct sites (fractional):
Li 0.0222 0.8114 0.0000 (multiplicity 9)
Li 0.1399 0.4642 0.1614 (multiplicity 9)
V 0.0091 0.8029 0.6612 (multiplicity 9)
V 0.1381 0.4509 0.8264 (multiplicity 9)
B 0.0138 0.8031 0.3259 (multiplicity 9)
B 0.1356 0.4614 0.4915 (multiplicity 9)
O 0.0072 0.6871 0.3195 (multiplicity 9)
O 0.0200 0.3526 0.4873 (multiplicity 9)
O 0.0618 0.8584 0.4724 (multiplicity 9)
O 0.0850 0.8790 0.1996 (multiplicity 9)
O 0.1050 0.8847 0.8166 (multiplicity 9)
O 0.1961 0.0696 0.6936 (multiplicity 9)
O 0.1963 0.4651 0.6347 (multiplicity 9)
O 0.2193 0.1109 0.3149 (multiplicity 9)

VASP calculation (PBE+U) on crystalline Li3MnPCO7 at its relaxed geometry.

Calculated values
The formation energy comes out at -232.6 kJ/mol of atoms.

a = 4.973 Å, b = 8.582 Å, c = 13.190 Å
α = 90.56°, β = 90.08°, γ = 94.54°
Space group P1 (No. 1)
Symmetry-distinct sites (fractional):
Li 0.000 0.000 0.000 (multiplicity 1)
Li 0.000 0.004 0.502 (multiplicity 1)
Li 0.002 0.007 0.723 (multiplicity 1)
Li 0.507 0.552 0.478 (multiplicity 1)
Li 0.509 0.554 0.753 (multiplicity 1)
Li 0.517 0.185 0.612 (multiplicity 1)
Li 0.519 0.181 0.104 (multiplicity 1)
Li 0.519 0.559 0.970 (multiplicity 1)
Li 0.977 0.632 0.099 (multiplicity 1)
Li 0.990 0.377 0.862 (multiplicity 1)
Li 0.991 0.373 0.362 (multiplicity 1)
Li 0.998 0.999 0.211 (multiplicity 1)
Mn 0.502 0.538 0.228 (multiplicity 1)
Mn 0.531 0.938 0.859 (multiplicity 1)
Mn 0.534 0.938 0.359 (multiplicity 1)
Mn 0.978 0.620 0.611 (multiplicity 1)
P 0.030 0.688 0.358 (multiplicity 1)
P 0.031 0.688 0.862 (multiplicity 1)
P 0.473 0.869 0.109 (multiplicity 1)
P 0.477 0.870 0.608 (multiplicity 1)
C 0.047 0.317 0.114 (multiplicity 1)
C 0.051 0.313 0.608 (multiplicity 1)
C 0.457 0.245 0.359 (multiplicity 1)
C 0.458 0.246 0.859 (multiplicity 1)
O 0.113 0.173 0.109 (multiplicity 1)
O 0.114 0.168 0.609 (multiplicity 1)
O 0.161 0.855 0.110 (multiplicity 1)
O 0.161 0.857 0.608 (multiplicity 1)
O 0.240 0.430 0.117 (multiplicity 1)
O 0.245 0.425 0.607 (multiplicity 1)
O 0.263 0.136 0.362 (multiplicity 1)
O 0.265 0.133 0.858 (multiplicity 1)
O 0.347 0.703 0.859 (multiplicity 1)
O 0.349 0.699 0.357 (multiplicity 1)
O 0.395 0.390 0.859 (multiplicity 1)
O 0.395 0.392 0.357 (multiplicity 1)
O 0.567 0.701 0.607 (multiplicity 1)
O 0.576 0.703 0.107 (multiplicity 1)
O 0.583 0.969 0.018 (multiplicity 1)
O 0.585 0.968 0.516 (multiplicity 1)
O 0.585 0.969 0.202 (multiplicity 1)
O 0.587 0.969 0.700 (multiplicity 1)
O 0.704 0.212 0.359 (multiplicity 1)
O 0.706 0.212 0.859 (multiplicity 1)
O 0.798 0.349 0.115 (multiplicity 1)
O 0.804 0.348 0.607 (multiplicity 1)
O 0.920 0.590 0.768 (multiplicity 1)
O 0.924 0.590 0.450 (multiplicity 1)
O 0.927 0.591 0.264 (multiplicity 1)
O 0.928 0.592 0.954 (multiplicity 1)
O 0.942 0.858 0.860 (multiplicity 1)
O 0.945 0.857 0.360 (multiplicity 1)